Material: SrP2
Method: DFT, PBE
State: relaxed

a b c (Å): 6.1740 11.9123 7.5103
angles (deg): 90.00 126.60 90.00
Fractional positions:
Sr (0.0000, 0.0000, 0.0000)
Sr (0.0000, 0.5000, 0.5000)
Sr (0.2878, 0.1665, 0.6849)
Sr (0.2878, 0.3335, 0.1849)
Sr (0.7122, 0.6665, 0.8151)
Sr (0.7122, 0.8335, 0.3151)
P (0.1622, 0.6953, 0.3338)
P (0.1622, 0.8047, 0.8338)
P (0.2986, 0.6291, 0.9394)
P (0.2986, 0.8709, 0.4394)
P (0.4324, 0.5997, 0.2880)
P (0.4324, 0.9003, 0.7880)
P (0.5676, 0.0997, 0.2120)
P (0.5676, 0.4003, 0.7120)
P (0.7014, 0.1291, 0.5606)
P (0.7014, 0.3709, 0.0606)
P (0.8378, 0.1953, 0.1662)
P (0.8378, 0.3047, 0.6662)


Material: Sr3P2
Method: DFT, PBE
State: relaxed

a b c (Å): 5.6700 5.6700 5.6700
angles (deg): 90.00 90.00 90.00
Fractional positions:
Sr (0.0000, 0.0000, 0.5000)
Sr (0.0000, 0.5000, 0.0000)
Sr (0.5000, 0.0000, 0.0000)
P (0.0000, 0.0000, 0.0000)
P (0.5000, 0.5000, 0.5000)

Summary:
- M_tot (μB/f.u.) = 0.004
- distance to the lowest polymorph of the same formula (meV/atom) = 402.9


Material: Sr3P2
Method: DFT, PBE
State: relaxed

a b c (Å): 15.5120 15.5120 15.5120
angles (deg): 144.81 144.81 50.62
Fractional positions:
Sr (0.0731, 0.4449, 0.2396)
Sr (0.1665, 0.9269, 0.3718)
Sr (0.1847, 0.4395, 0.5853)
Sr (0.1895, 0.4347, 0.0853)
Sr (0.1949, 0.3231, 0.7396)
Sr (0.2053, 0.8335, 0.7604)
Sr (0.2561, 0.1220, 0.2495)
Sr (0.3493, 0.1041, 0.9147)
Sr (0.4007, 0.8153, 0.2548)
Sr (0.4939, 0.2435, 0.3659)
Sr (0.5447, 0.8051, 0.1282)
Sr (0.5551, 0.7947, 0.6282)
Sr (0.5605, 0.1459, 0.7452)
Sr (0.5653, 0.6507, 0.7548)
Sr (0.5835, 0.4553, 0.2604)
Sr (0.6769, 0.4165, 0.8718)
Sr (0.7565, 0.1224, 0.2505)
Sr (0.8541, 0.5993, 0.4147)
Sr (0.8724, 0.0065, 0.7505)
Sr (0.8720, 0.5061, 0.7495)
Sr (0.8780, 0.1276, 0.1341)
Sr (0.8776, 0.1280, 0.6341)
Sr (0.8959, 0.8105, 0.2452)
Sr (0.9935, 0.7439, 0.8659)
P (0.0483, 0.1396, 0.6130)
P (0.1638, 0.1638, 0.0000)
P (0.1853, 0.7766, 0.8870)
P (0.2234, 0.1104, 0.4086)
P (0.2539, 0.6250, 0.1289)
P (0.3750, 0.5039, 0.6289)
P (0.4961, 0.1250, 0.8711)
P (0.5266, 0.4353, 0.3870)
P (0.5647, 0.9517, 0.0914)
P (0.5862, 0.0862, 0.5000)
P (0.7017, 0.8147, 0.5914)
P (0.8362, 0.8362, 0.0000)
P (0.8604, 0.4734, 0.9086)
P (0.8750, 0.7461, 0.3711)
P (0.8896, 0.2983, 0.1130)
P (0.9138, 0.4138, 0.5000)

Summary:
- distance to the lowest polymorph of the same formula (meV/atom) = 0.0


Material: Sr3P4
Method: DFT, PBE
State: relaxed

a b c (Å): 9.2153 7.7631 11.3116
angles (deg): 53.97 42.94 83.08
Fractional positions:
Sr (0.0000, 0.0000, 0.0000)
Sr (0.2500, 0.2500, 0.2500)
Sr (0.3424, 0.6752, 0.3213)
Sr (0.5889, 0.9287, 0.5748)
Sr (0.6752, 0.3424, 0.6611)
Sr (0.9287, 0.5889, 0.9076)
P (0.0777, 0.9148, 0.2684)
P (0.4220, 0.5854, 0.5761)
P (0.5109, 0.9816, 0.3352)
P (0.5854, 0.4220, 0.4166)
P (0.6739, 0.8334, 0.8280)
P (0.8334, 0.6739, 0.6646)
P (0.9148, 0.0777, 0.7391)
P (0.9816, 0.5109, 0.1723)

Summary:
- largest piezoelectric modulus (C/m²) = 0.3
- distance to the lowest polymorph of the same formula (meV/atom) = 0.0


Material: Sr4TiP4
Method: DFT, PBE
State: relaxed

a b c (Å): 12.6516 12.6516 12.6516
angles (deg): 90.00 90.00 90.00
Fractional positions:
Sr (0.0937, 0.1374, 0.6481)
Sr (0.0937, 0.8626, 0.3519)
Sr (0.1374, 0.3519, 0.9063)
Sr (0.1374, 0.6481, 0.0937)
Sr (0.1484, 0.1484, 0.1484)
Sr (0.1481, 0.3626, 0.4063)
Sr (0.1481, 0.6374, 0.5937)
Sr (0.1484, 0.8516, 0.8516)
Sr (0.3519, 0.0937, 0.8626)
Sr (0.3516, 0.3516, 0.6484)
Sr (0.3516, 0.6484, 0.3516)
Sr (0.3519, 0.9063, 0.1374)
Sr (0.3626, 0.4063, 0.1481)
Sr (0.3626, 0.5937, 0.8519)
Sr (0.4063, 0.1481, 0.3626)
Sr (0.4063, 0.8519, 0.6374)
Sr (0.5937, 0.1481, 0.6374)
Sr (0.5937, 0.8519, 0.3626)
Sr (0.6374, 0.4063, 0.8519)
Sr (0.6374, 0.5937, 0.1481)
Sr (0.6481, 0.0937, 0.1374)
Sr (0.6484, 0.3516, 0.3516)
Sr (0.6484, 0.6484, 0.6484)
Sr (0.6481, 0.9063, 0.8626)
Sr (0.8516, 0.1484, 0.8516)
Sr (0.8519, 0.3626, 0.5937)
Sr (0.8519, 0.6374, 0.4063)
Sr (0.8516, 0.8516, 0.1484)
Sr (0.8626, 0.3519, 0.0937)
Sr (0.8626, 0.6481, 0.9063)
Sr (0.9063, 0.1374, 0.3519)
Sr (0.9063, 0.8626, 0.6481)
Ti (0.0000, 0.0000, 0.0000)
Ti (0.0000, 0.5000, 0.2500)
Ti (0.0000, 0.5000, 0.7500)
Ti (0.2500, 0.0000, 0.5000)
Ti (0.5000, 0.2500, 0.0000)
Ti (0.5000, 0.5000, 0.5000)
Ti (0.5000, 0.7500, 0.0000)
Ti (0.7500, 0.0000, 0.5000)
P (0.1075, 0.3852, 0.6457)
P (0.1075, 0.6148, 0.3543)
P (0.1088, 0.1088, 0.8912)
P (0.1088, 0.8912, 0.1088)
P (0.1148, 0.3925, 0.1457)
P (0.1148, 0.6075, 0.8543)
P (0.1457, 0.1148, 0.3925)
P (0.1457, 0.8852, 0.6075)
P (0.3543, 0.1075, 0.6148)
P (0.3543, 0.8925, 0.3852)
P (0.3852, 0.3543, 0.8925)
P (0.3852, 0.6457, 0.1075)
P (0.3912, 0.3912, 0.3912)
P (0.3912, 0.6088, 0.6088)
P (0.3925, 0.1457, 0.1148)
P (0.3925, 0.8543, 0.8852)
P (0.6075, 0.1457, 0.8852)
P (0.6075, 0.8543, 0.1148)
P (0.6088, 0.3912, 0.6088)
P (0.6088, 0.6088, 0.3912)
P (0.6148, 0.3543, 0.1075)
P (0.6148, 0.6457, 0.8925)
P (0.6457, 0.1075, 0.3852)
P (0.6457, 0.8925, 0.6148)
P (0.8543, 0.1148, 0.6075)
P (0.8543, 0.8852, 0.3925)
P (0.8852, 0.3925, 0.8543)
P (0.8852, 0.6075, 0.1457)
P (0.8912, 0.1088, 0.1088)
P (0.8912, 0.8912, 0.8912)
P (0.8925, 0.3852, 0.3543)
P (0.8925, 0.6148, 0.6457)


Material: SrZn2P2
Method: DFT, PBE
State: relaxed

a b c (Å): 4.1147 4.1147 7.1297
angles (deg): 90.00 90.00 120.00
Fractional positions:
Sr (0.0000, 0.0000, 0.0000)
Zn (0.3333, 0.6667, 0.3703)
Zn (0.6667, 0.3333, 0.6297)
P (0.3333, 0.6667, 0.7258)
P (0.6667, 0.3333, 0.2742)


Material: TaP
Method: DFT, PBE
State: relaxed

a b c (Å): 3.3402 3.3402 11.4036
angles (deg): 90.00 90.00 90.00
Fractional positions:
Ta (0.0000, 0.0000, 0.0000)
Ta (0.0000, 0.5000, 0.2500)
Ta (0.5000, 0.0000, 0.7500)
Ta (0.5000, 0.5000, 0.5000)
P (0.0000, 0.0000, 0.4175)
P (0.0000, 0.5000, 0.6675)
P (0.5000, 0.0000, 0.1675)
P (0.5000, 0.5000, 0.9175)


Material: TaP
Method: DFT, PBE
State: relaxed

a b c (Å): 3.3222 3.3222 3.3394
angles (deg): 90.00 90.00 120.00
Fractional positions:
Ta (0.0000, 0.0000, 0.0000)
P (0.3333, 0.6667, 0.5000)


Material: TaP
Method: DFT, PBE
State: relaxed

a b c (Å): 3.5055 3.5055 10.4413
angles (deg): 90.00 90.00 90.00
Fractional positions:
Ta (0.0000, 0.2500, 0.3750)
Ta (0.0000, 0.7500, 0.6250)
Ta (0.5000, 0.2500, 0.1250)
Ta (0.5000, 0.7500, 0.8750)
P (0.0000, 0.2500, 0.8750)
P (0.0000, 0.7500, 0.1250)
P (0.5000, 0.2500, 0.6250)
P (0.5000, 0.7500, 0.3750)

Summary:
- M_tot (μB/f.u.) = 0.002


Material: TbP
Method: DFT, PBE
State: relaxed

a b c (Å): 5.6986 5.6986 5.6986
angles (deg): 90.00 90.00 90.00
Fractional positions:
Tb (0.0000, 0.0000, 0.0000)
Tb (0.0000, 0.5000, 0.5000)
Tb (0.5000, 0.0000, 0.5000)
Tb (0.5000, 0.5000, 0.0000)
P (0.0000, 0.0000, 0.5000)
P (0.0000, 0.5000, 0.0000)
P (0.5000, 0.0000, 0.0000)
P (0.5000, 0.5000, 0.5000)


Material: TbZn3P3
Method: DFT, PBE
State: relaxed

a b c (Å): 4.0070 4.0070 19.8934
angles (deg): 90.00 90.00 120.00
Fractional positions:
Tb (0.0000, 0.0000, 0.0000)
Tb (0.0000, 0.0000, 0.5000)
Zn (0.3333, 0.6667, 0.1285)
Zn (0.3333, 0.6667, 0.3715)
Zn (0.3333, 0.6667, 0.7500)
Zn (0.6667, 0.3333, 0.2500)
Zn (0.6667, 0.3333, 0.6285)
Zn (0.6667, 0.3333, 0.8715)
P (0.3333, 0.6667, 0.2500)
P (0.3333, 0.6667, 0.5843)
P (0.3333, 0.6667, 0.9157)
P (0.6667, 0.3333, 0.0843)
P (0.6667, 0.3333, 0.4157)
P (0.6667, 0.3333, 0.7500)


Material: TcP4
Method: DFT, PBE
State: relaxed

a b c (Å): 6.2768 9.2718 10.9138
angles (deg): 90.00 90.00 90.00
Fractional positions:
Tc (0.1212, 0.1093, 0.0754)
Tc (0.1212, 0.3907, 0.5754)
Tc (0.3788, 0.6093, 0.0754)
Tc (0.3788, 0.8907, 0.5754)
Tc (0.6212, 0.1093, 0.4246)
Tc (0.6212, 0.3907, 0.9246)
Tc (0.8788, 0.6093, 0.4246)
Tc (0.8788, 0.8907, 0.9246)
P (0.0005, 0.7083, 0.0690)
P (0.0005, 0.7917, 0.5690)
P (0.0595, 0.2185, 0.7358)
P (0.0595, 0.2815, 0.2358)
P (0.1902, 0.5533, 0.7383)
P (0.1902, 0.9467, 0.2383)
P (0.2436, 0.5436, 0.4188)
P (0.2436, 0.9564, 0.9188)
P (0.2564, 0.0436, 0.4188)
P (0.2564, 0.4564, 0.9188)
P (0.3098, 0.0533, 0.7383)
P (0.3098, 0.4467, 0.2383)
P (0.4405, 0.7185, 0.7358)
P (0.4405, 0.7815, 0.2358)
P (0.4995, 0.2083, 0.0690)
P (0.4995, 0.2917, 0.5690)
P (0.5005, 0.7083, 0.4310)
P (0.5005, 0.7917, 0.9310)
P (0.5595, 0.2185, 0.7642)
P (0.5595, 0.2815, 0.2642)
P (0.6902, 0.5533, 0.7617)
P (0.6902, 0.9467, 0.2617)
P (0.7436, 0.5436, 0.0812)
P (0.7436, 0.9564, 0.5812)
P (0.7564, 0.0436, 0.0812)
P (0.7564, 0.4564, 0.5812)
P (0.8098, 0.0533, 0.7617)
P (0.8098, 0.4467, 0.2617)
P (0.9405, 0.7185, 0.7642)
P (0.9405, 0.7815, 0.2642)
P (0.9995, 0.2083, 0.4310)
P (0.9995, 0.2917, 0.9310)


no.,uncorrected energy (eV/atom),formation energy (meV per atom)
1,-4.9607,-789
2,-3.8174,-638
3,-4.2204,-1041
4,-4.7744,-957
5,-5.1498,-1116
6,-3.6981,-691
7,-9.5743,-939
8,-9.5640,-928
9,-8.8889,-253
10,-6.6327,-1609
11,-4.1299,-608
12,-6.8132,-410